Here is a relaxed TiMoP3O12 crystal from the Materials Project. Energies are from PBE+U.

Results
V: 14.1 Å³/atom
space group: R3c, No. 161
final energy: -129.0 eV/f.u.
ΔE_f: -46.130 eV/f.u.

abc: 8.8446 8.8446 8.8446
angles: 59.03 59.03 59.03
Closest atoms and distances in Å follow each position.
Sites, in units of the cell vectors:
Ti  0.0000  0.0000  0.0000  6 O 1.94-1.97
Ti  0.5000  0.5000  0.5000  6 O 1.94-1.97
Mo  0.2808  0.2808  0.2808  6 O 1.97-1.98
Mo  0.7808  0.7808  0.7808  6 O 1.97-1.98
P  0.1078  0.3889  0.6746  4 O 1.52-1.55
P  0.1746  0.8889  0.6078  4 O 1.52-1.55
P  0.3889  0.6746  0.1078  4 O 1.52-1.55
P  0.6078  0.1746  0.8889  4 O 1.52-1.55
P  0.6746  0.1077  0.3889  4 O 1.52-1.55
P  0.8889  0.6078  0.1746  4 O 1.52-1.55
O  0.0056  0.8568  0.6319  1 P 1.55
O  0.0609  0.4260  0.1982  1 P 1.55
O  0.0770  0.2190  0.8515  1 P 1.53
O  0.1319  0.3568  0.5056  1 P 1.55
O  0.1381  0.9269  0.7748  1 P 1.52
O  0.1982  0.0609  0.4260  1 P 1.55
O  0.2190  0.8515  0.0770  1 P 1.53
O  0.2748  0.4269  0.6381  1 P 1.52
O  0.3515  0.7190  0.5770  1 P 1.53
O  0.3568  0.5056  0.1319  1 P 1.55
O  0.4260  0.1982  0.0609  1 P 1.55
O  0.4269  0.6381  0.2748  1 P 1.52
O  0.5056  0.1319  0.3568  1 P 1.55
O  0.5609  0.6982  0.9260  1 P 1.55
O  0.5770  0.3515  0.7190  1 P 1.53
O  0.6319  0.0056  0.8568  1 P 1.55
O  0.6381  0.2748  0.4269  1 P 1.52
O  0.6982  0.9260  0.5609  1 P 1.55
O  0.7190  0.5770  0.3515  1 P 1.53
O  0.7748  0.1381  0.9269  1 P 1.52
O  0.8515  0.0770  0.2190  1 P 1.53
O  0.8568  0.6319  0.0056  1 P 1.55
O  0.9260  0.5609  0.6982  1 P 1.55
O  0.9269  0.7748  0.1381  1 P 1.52